Record 1
## TmOs2 (PBE)

Data for a geometry-optimized TmOs2 structure.

**Calculated formation energy**: -0.3664 eV/atom
**E**: -9.34 eV/atom

Cell lengths 5.3094, 5.3094, 8.7148 Å; angles 90.00, 90.00, 120.00 degrees
Space group P6_3/mmc (No. 194)
One atom of each set of equivalent atoms:
1 Tm 0.3333 0.6667 0.0646 [4 per cell]
2 Os 0.0000 0.0000 0.0000 [2 per cell]
3 Os 0.1730 0.3459 0.7500 [6 per cell]



Record 2
## Tm2ZnOs (PBE)

Data for a geometry-optimized Tm2ZnOs structure.

**Calculated formation energy**: -0.3466 eV/atom
**E**: -5.71 eV/atom

Cell lengths 6.848, 6.848, 6.848 Å; angles 90.00, 90.00, 90.00 degrees
Space group Fm-3m (No. 225)
One atom of each set of equivalent atoms:
1 Tm 0.250 0.250 0.250 [8 per cell]
2 Zn 0.000 0.000 0.000 [4 per cell]
3 Os 0.000 0.000 0.500 [4 per cell]



Record 3
## U4Os (PBE)

Data for a geometry-optimized U4Os structure.

**Calculated formation energy**: 0.7922 eV/atom
**E**: -10.49 eV/atom
**Magnetization**: 4.26 Bohr magnetons per cell

Cell lengths 9.852, 9.852, 9.852 Å; angles 90.00, 90.00, 90.00 degrees
Space group Fd-3m (No. 227, origin choice 2)
One atom of each set of equivalent atoms:
1 U 0.028 0.028 0.222 [32 per cell]
2 Os 0.125 0.125 0.625 [8 per cell]



Record 4
## UOs2 (PBE)

Data for a geometry-optimized UOs2 structure.

**Calculated formation energy**: -0.0912 eV/atom
**E**: -11.34 eV/atom
**Magnetization**: 0.46 Bohr magnetons per cell

Cell lengths 5.3836, 5.3836, 8.5317 Å; angles 90.00, 90.00, 120.00 degrees
Space group P6_3/mmc (No. 194)
One atom of each set of equivalent atoms:
1 U 0.3333 0.6667 0.0758 [4 per cell]
2 Os 0.0000 0.0000 0.0000 [2 per cell]
3 Os 0.1703 0.3406 0.7500 [6 per cell]